(1)
GdYO2 | the Materials Project | PBE-GGA | relaxed; VASP energy = -41.9 eV/f.u.; ΔE_f = -3.21 eV per atom; volume = 149.7 Å³ per cell; magnetization = 14.04 μB/cell
1.0
1.366 2.689 2.019
-3.517 -0.859 0.261
2.802 -8.577 9.526
O Y Gd
4 2 2
direct
0.667 0.333 0.580
0.333 0.667 0.080
0.667 0.333 0.920
0.333 0.667 0.420
0.000 0.000 0.000
0.000 0.000 0.500
0.667 0.333 0.750
0.333 0.667 0.250

---

(2)
Gd3Y13O24 | the Materials Project | PBE-GGA | relaxed; VASP energy = -386.8 eV/f.u.; ΔE_f = -3.96 eV per atom; volume = 618.1 Å³ per cell
1.0
2.644 -8.854 -1.019
8.160 -0.305 -4.443
9.036 -4.260 3.920
O Y Gd
24 13 3
direct
0.534 0.228 0.479
0.540 0.764 0.718
0.031 0.729 0.761
0.271 0.969 0.239
0.966 0.272 0.741
0.771 0.010 0.708
0.732 0.490 0.989
0.960 0.739 0.522
0.728 0.034 0.259
0.271 0.512 0.510
0.227 0.531 0.979
0.012 0.771 0.206
0.990 0.229 0.292
0.458 0.239 0.782
0.229 0.988 0.794
0.772 0.466 0.521
0.739 0.957 0.022
0.761 0.542 0.218
0.043 0.261 0.978
0.261 0.040 0.478
0.469 0.773 0.021
0.488 0.729 0.490
0.236 0.460 0.282
0.510 0.268 0.011
0.250 0.249 0.033
0.717 0.216 0.783
0.533 0.467 0.500
0.500 0.001 0.751
0.282 0.782 0.718
0.751 0.750 0.967
0.500 0.999 0.250
0.999 0.500 0.249
0.218 0.718 0.282
0.033 0.967 0.500
0.967 0.033 0.000
0.784 0.283 0.217
0.001 0.500 0.750
0.750 0.750 0.467
0.250 0.250 0.533
0.468 0.532 0.000

---

> Among the records above, which one has the lowest volume?

GdYO2

---

> Look up the ΔE_f of the second one.

-3.96 eV per atom